# Li5Mn2P3O12, relaxed, DFT PBE with a Hubbard U
# total magnetic moment = 40.000 μB per cell
# total energy = -6.762 eV per atom
# DFT formation energy = -2584.8 meV per atom
# E (MP2020) = -641.4 eV per cell
data_Li5Mn2P3O12
_symmetry_space_group_name_H-M 'P 1'
_symmetry_Int_Tables_number 1
_cell_length_a 8.948
_cell_length_b 8.999
_cell_length_c 12.508
_cell_angle_alpha 86.64
_cell_angle_beta 89.35
_cell_angle_gamma 89.80
loop_
_symmetry_equiv_pos_as_xyz
'x,y,z'
loop_
_atom_site_label
_atom_site_fract_x
_atom_site_fract_y
_atom_site_fract_z
Li1 0.000 0.000 0.000
Li2 0.001 0.578 0.100
Li3 0.024 0.132 0.151
Li4 0.039 0.631 0.643
Li5 0.051 0.052 0.610
Li6 0.076 0.499 0.491
Li7 0.245 0.802 0.653
Li8 0.258 0.248 0.504
Li9 0.311 0.178 0.166
Li10 0.368 0.658 0.034
Li11 0.499 0.915 0.165
Li12 0.507 0.374 0.073
Li13 0.528 0.294 0.528
Li14 0.548 0.382 0.712
Li15 0.553 0.877 0.569
Li16 0.688 0.562 0.598
Li17 0.747 0.125 0.530
Li18 0.760 0.768 0.993
Li19 0.788 0.757 0.678
Li20 0.820 0.313 0.140
Mn1 0.240 0.458 0.748
Mn2 0.240 0.952 0.432
Mn3 0.314 0.477 0.245
Mn4 0.330 0.976 0.944
Mn5 0.720 0.003 0.759
Mn6 0.755 0.448 0.407
Mn7 0.809 0.942 0.242
Mn8 0.831 0.461 0.927
P1 0.029 0.775 0.849
P2 0.036 0.250 0.343
P3 0.160 0.320 0.000
P4 0.180 0.822 0.180
P5 0.366 0.606 0.505
P6 0.396 0.112 0.686
P7 0.529 0.164 0.335
P8 0.532 0.672 0.828
P9 0.658 0.618 0.184
P10 0.681 0.122 0.011
P11 0.871 0.324 0.669
P12 0.899 0.816 0.495
O1 0.004 0.370 0.044
O2 0.024 0.394 0.638
O3 0.029 0.898 0.145
O4 0.055 0.856 0.540
O5 0.085 0.153 0.445
O6 0.112 0.907 0.892
O7 0.129 0.684 0.773
O8 0.158 0.650 0.192
O9 0.159 0.343 0.878
O10 0.170 0.281 0.266
O11 0.175 0.150 0.036
O12 0.240 0.894 0.279
O13 0.242 0.584 0.594
O14 0.273 0.019 0.635
O15 0.290 0.403 0.053
O16 0.298 0.533 0.407
O17 0.305 0.849 0.092
O18 0.369 0.281 0.647
O19 0.393 0.777 0.495
O20 0.399 0.136 0.419
O21 0.407 0.096 0.807
O22 0.420 0.761 0.893
O23 0.459 0.529 0.788
O24 0.479 0.271 0.240
O25 0.502 0.568 0.143
O26 0.512 0.523 0.537
O27 0.523 0.067 0.046
O28 0.555 0.076 0.637
O29 0.587 0.017 0.294
O30 0.591 0.766 0.724
O31 0.650 0.240 0.404
O32 0.659 0.597 0.306
O33 0.666 0.630 0.901
O34 0.676 0.294 0.992
O35 0.680 0.786 0.146
O36 0.741 0.036 0.916
O37 0.750 0.358 0.579
O38 0.774 0.909 0.548
O39 0.784 0.527 0.130
O40 0.800 0.392 0.769
O41 0.803 0.092 0.099
O42 0.869 0.651 0.544
O43 0.883 0.151 0.678
O44 0.898 0.826 0.374
O45 0.898 0.837 0.777
O46 0.915 0.174 0.279
O47 0.964 0.673 0.944
O48 0.976 0.401 0.383